1.
Material: Ba2EuMgSbO6
Method: DFT, PBE-GGA
State: relaxed

Properties
- total DFT energy (no corrections) (eV per atom) = -6.534
- energy relative to the elements (eV per atom) = -2.408
- total magnetic moment (μB/f.u.) = 6.20
- density (g cm⁻³) = 5.75
- crystal system = orthorhombic
- MP2020-corrected energy (eV per formula unit) = -76.00

```
data_Ba2EuMgSbO6
_chemical_formula_sum 'Ba4 Eu2 Mg2 Sb2 O12'
_space_group_name_H-M_alt 'I m m m'
_space_group_IT_number 71
_space_group_name_Hall '-I 2 2'
_cell_length_a 6.2303
_cell_length_b 6.2620
_cell_length_c 9.8994
_cell_angle_alpha 90.00
_cell_angle_beta 90.00
_cell_angle_gamma 90.00
loop_
_atom_site_label
_atom_site_fract_x
_atom_site_fract_y
_atom_site_fract_z
Ba1 0.0000 0.0000 0.1911
Eu1 0.0000 0.5000 0.5000
Mg1 0.0000 0.0000 0.5000
Sb1 0.0000 0.5000 0.0000
O1 0.0000 0.5000 0.2347
O2 0.2396 0.2264 0.5000
```



2.
Material: BaNaEuSeO6
Method: DFT, PBE-GGA
State: relaxed

Properties
- total DFT energy (no corrections) (eV per atom) = -6.466
- energy relative to the elements (eV per atom) = -2.210
- total magnetic moment (μB/f.u.) = 6.00
- density (g cm⁻³) = 5.74
- crystal system = cubic
- MP2020-corrected energy (eV per formula unit) = -68.78

```
data_BaNaEuSeO6
_chemical_formula_sum 'Ba4 Na4 Eu4 Se4 O24'
_space_group_name_H-M_alt 'F -4 3 m'
_space_group_IT_number 216
_space_group_name_Hall 'F -4 2 3'
_cell_length_a 8.2632
_cell_length_b 8.2632
_cell_length_c 8.2632
_cell_angle_alpha 90.00
_cell_angle_beta 90.00
_cell_angle_gamma 90.00
loop_
_atom_site_label
_atom_site_fract_x
_atom_site_fract_y
_atom_site_fract_z
Ba1 0.0000 0.0000 0.0000
Na1 0.0000 0.0000 0.5000
Eu1 0.2500 0.2500 0.2500
Se1 0.2500 0.2500 0.7500
O1 0.0280 0.2500 0.7500
```



3.
Material: Ba3NaEu3Si6O20
Method: DFT, PBE-GGA
State: relaxed

Properties
- total DFT energy (no corrections) (eV per atom) = -8.011
- energy relative to the elements (eV per atom) = -3.296
- total magnetic moment (μB/f.u.) = 18.00
- density (g cm⁻³) = 4.43
- crystal system = orthorhombic
- MP2020-corrected energy (eV per formula unit) = -278.12

```
data_Ba3NaEu3Si6O20
_chemical_formula_sum 'Ba12 Na4 Eu12 Si24 O80'
_space_group_name_H-M_alt 'A m a 2'
_space_group_IT_number 40
_cell_length_a 15.0070
_cell_length_b 24.3610
_cell_length_c 5.6546
_cell_angle_alpha 90.00
_cell_angle_beta 90.00
_cell_angle_gamma 90.00
loop_
_space_group_symop_operation_xyz
'x,y,z'
'-x,-y,z'
'-x+1/2,y,z'
'x+1/2,-y,z'
'x,y+1/2,z+1/2'
'-x,-y+1/2,z+1/2'
'-x+1/2,y+1/2,z+1/2'
'x+1/2,-y+1/2,z+1/2'
loop_
_atom_site_label
_atom_site_fract_x
_atom_site_fract_y
_atom_site_fract_z
Ba1 0.1133 0.2431 0.0000
Ba2 0.2500 0.0811 0.9980
Na1 0.2500 0.3886 0.9272
Eu1 0.0000 0.0000 0.0664
Eu2 0.0310 0.1102 0.5672
Si1 0.0579 0.3485 0.5325
Si2 0.1405 0.0001 0.5111
Si3 0.2500 0.1801 0.5298
Si4 0.2500 0.3098 0.4737
O1 0.0029 0.3265 0.7637
O2 0.0319 0.3112 0.3004
O3 0.0340 0.4109 0.4487
O4 0.0887 0.4443 0.9316
O5 0.1096 0.0271 0.7634
O6 0.1172 0.0474 0.3097
O7 0.1630 0.1549 0.6706
O8 0.1655 0.3419 0.6024
O9 0.2500 0.1760 0.2435
O10 0.2500 0.2481 0.6041
O11 0.2500 0.3088 0.1909
O12 0.2500 0.4868 0.0147
```